Entry 1:
Compound: Cs2NiH12S2O14
Source: the Materials Project database
Functional: PBE+U
Structure: optimized geometry Values from VASP.

Values from the calculation:
For the total energy after the MP2020 corrections, the calculation gives -5.40 eV per atom. The energy is -310.60 eV per cell. The formation energy is -41.633 eV per formula unit. As for the space group: P2_1/c (14).

```
&SYSTEM
  ibrav = 0, nat = 62, ntyp = 5
/
ATOMIC_SPECIES
H 1.01 H.upf
O 16.00 O.upf
S 32.06 S.upf
Cs 132.91 Cs.upf
Ni 58.69 Ni.upf
ATOMIC_POSITIONS crystal
H 0.583 0.917 0.761
H 0.621 0.093 0.271
H 0.860 0.757 0.003
H 0.431 0.333 0.597
H 0.165 0.993 0.873
H 0.569 0.667 0.403
H 0.087 0.681 0.201
H 0.917 0.917 0.261
H 0.913 0.319 0.799
H 0.083 0.083 0.739
H 0.931 0.667 0.903
H 0.665 0.007 0.627
H 0.587 0.319 0.299
H 0.140 0.243 0.997
H 0.360 0.243 0.497
H 0.413 0.681 0.701
H 0.379 0.907 0.729
H 0.417 0.083 0.239
H 0.335 0.993 0.373
H 0.879 0.093 0.771
H 0.069 0.333 0.097
H 0.640 0.757 0.503
H 0.121 0.907 0.229
H 0.835 0.007 0.127
O 0.579 0.778 0.975
O 0.818 0.890 0.670
O 0.182 0.110 0.330
O 0.318 0.110 0.830
O 0.074 0.285 0.003
O 0.252 0.006 0.444
O 0.577 0.587 0.238
O 0.682 0.890 0.170
O 0.748 0.994 0.556
O 0.248 0.006 0.944
O 0.077 0.413 0.262
O 0.752 0.994 0.056
O 0.079 0.222 0.525
O 0.099 0.834 0.154
O 0.401 0.834 0.654
O 0.926 0.715 0.997
O 0.408 0.975 0.333
O 0.908 0.025 0.167
O 0.574 0.715 0.497
O 0.921 0.778 0.475
O 0.901 0.166 0.846
O 0.599 0.166 0.346
O 0.592 0.025 0.667
O 0.923 0.587 0.738
O 0.423 0.413 0.762
O 0.421 0.222 0.025
O 0.092 0.975 0.833
O 0.426 0.285 0.503
S 0.140 0.316 0.395
S 0.860 0.684 0.605
S 0.640 0.684 0.105
S 0.360 0.316 0.895
Cs 0.363 0.669 0.144
Cs 0.863 0.331 0.356
Cs 0.637 0.331 0.856
Cs 0.137 0.669 0.644
Ni 0.000 0.000 0.000
Ni 0.500 0.000 0.500
CELL_PARAMETERS angstrom
-5.984 -0.497 -12.778
-1.741 -6.165 1.055
-8.416 0.625 3.917
```

Entry 2:
Compound: Cs2NiH12S2O14
Source: the Materials Project database
Functional: PBE+U
Structure: optimized geometry Values from VASP.

Values from the calculation:
For the total energy after the MP2020 corrections, the calculation gives -5.63 eV per atom. The energy is -324.49 eV per cell. The formation energy is -48.574 eV per formula unit. As for the space group: P1 (1).

```
&SYSTEM
  ibrav = 0, nat = 62, ntyp = 5
/
ATOMIC_SPECIES
H 1.01 H.upf
O 16.00 O.upf
S 32.06 S.upf
Cs 132.91 Cs.upf
Ni 58.69 Ni.upf
ATOMIC_POSITIONS crystal
H 0.901 0.316 0.788
H 0.399 0.688 0.703
H 0.818 0.988 0.144
H 0.595 0.314 0.292
H 0.938 0.676 0.903
H 0.097 0.692 0.204
H 0.359 0.303 0.474
H 0.681 0.982 0.654
H 0.408 0.072 0.226
H 0.096 0.075 0.719
H 0.860 0.686 0.027
H 0.560 0.673 0.407
H 0.138 0.307 0.979
H 0.321 0.012 0.346
H 0.178 0.012 0.850
H 0.637 0.685 0.528
H 0.594 0.921 0.780
H 0.873 0.085 0.763
H 0.440 0.335 0.593
H 0.634 0.084 0.267
H 0.373 0.911 0.735
H 0.131 0.912 0.231
H 0.906 0.924 0.281
H 0.057 0.333 0.101
O 0.566 0.712 0.500
O 0.587 0.611 0.231
O 0.242 0.386 0.413
O 0.939 0.709 0.003
O 0.391 0.979 0.327
O 0.111 0.849 0.155
O 0.915 0.608 0.728
O 0.607 0.009 0.675
O 0.816 0.936 0.647
O 0.887 0.157 0.838
O 0.440 0.288 0.506
O 0.682 0.940 0.147
O 0.182 0.060 0.362
O 0.320 0.059 0.859
O 0.610 0.154 0.347
O 0.581 0.805 0.966
O 0.086 0.396 0.262
O 0.920 0.794 0.465
O 0.257 0.387 0.923
O 0.893 0.013 0.176
O 0.761 0.615 0.577
O 0.109 0.992 0.829
O 0.386 0.849 0.656
O 0.417 0.391 0.769
O 0.418 0.195 0.035
O 0.742 0.610 0.086
O 0.081 0.195 0.533
O 0.061 0.288 0.998
S 0.348 0.260 0.893
S 0.149 0.253 0.392
S 0.647 0.741 0.110
S 0.853 0.742 0.600
Cs 0.358 0.643 0.129
Cs 0.858 0.346 0.376
Cs 0.140 0.648 0.628
Cs 0.643 0.344 0.874
Ni 0.498 0.994 0.499
Ni 0.998 0.000 0.995
CELL_PARAMETERS angstrom
12.870 0.000 0.000
0.000 6.434 0.000
0.000 2.607 8.918
```

Entry 3:
Compound: CsVH24S2O20
Source: the Materials Project database
Functional: PBE+U
Structure: optimized geometry Values from VASP.

Values from the calculation:
For the total energy after the MP2020 corrections, the calculation gives -5.64 eV per atom. The energy is -1021.17 eV per cell. The formation energy is -72.095 eV per formula unit. As for the space group: Pa-3 (205).

```
&SYSTEM
  ibrav = 0, nat = 192, ntyp = 5
/
ATOMIC_SPECIES
O 16.00 O.upf
H 1.01 H.upf
Cs 132.91 Cs.upf
V 50.94 V.upf
S 32.06 S.upf
ATOMIC_POSITIONS crystal
O 0.949 0.789 0.657
O 0.343 0.449 0.711
O 0.499 0.161 0.501
O 0.999 0.339 0.499
O 0.721 0.837 0.064
O 0.657 0.551 0.289
O 0.843 0.449 0.789
O 0.337 0.436 0.279
O 0.663 0.564 0.721
O 0.064 0.721 0.837
O 0.436 0.221 0.837
O 0.221 0.837 0.436
O 0.551 0.289 0.657
O 0.999 0.501 0.661
O 0.449 0.711 0.343
O 0.499 0.999 0.339
O 0.161 0.999 0.999
O 0.449 0.789 0.843
O 0.343 0.051 0.211
O 0.936 0.279 0.163
O 0.339 0.001 0.499
O 0.758 0.258 0.242
O 0.999 0.999 0.161
O 0.711 0.157 0.949
O 0.258 0.258 0.258
O 0.337 0.064 0.779
O 0.001 0.661 0.501
O 0.843 0.051 0.289
O 0.789 0.843 0.449
O 0.663 0.936 0.221
O 0.661 0.999 0.501
O 0.001 0.499 0.339
O 0.211 0.157 0.551
O 0.163 0.564 0.779
O 0.949 0.711 0.157
O 0.936 0.221 0.663
O 0.742 0.758 0.242
O 0.839 0.001 0.001
O 0.436 0.279 0.337
O 0.839 0.499 0.501
O 0.837 0.436 0.221
O 0.163 0.936 0.279
O 0.711 0.343 0.449
O 0.551 0.211 0.157
O 0.789 0.657 0.949
O 0.051 0.211 0.343
O 0.779 0.337 0.064
O 0.279 0.163 0.936
O 0.779 0.163 0.564
O 0.564 0.721 0.663
O 0.758 0.242 0.742
O 0.289 0.843 0.051
O 0.499 0.501 0.839
O 0.289 0.657 0.551
O 0.501 0.499 0.161
O 0.499 0.339 0.001
O 0.721 0.663 0.564
O 0.837 0.064 0.721
O 0.221 0.663 0.936
O 0.242 0.742 0.758
O 0.157 0.949 0.711
O 0.657 0.949 0.789
O 0.999 0.161 0.999
O 0.501 0.001 0.661
O 0.279 0.337 0.436
O 0.001 0.001 0.839
O 0.001 0.839 0.001
O 0.157 0.551 0.211
O 0.501 0.661 0.999
O 0.564 0.779 0.163
O 0.211 0.343 0.051
O 0.161 0.501 0.499
O 0.661 0.501 0.001
O 0.501 0.839 0.499
O 0.242 0.758 0.258
O 0.064 0.779 0.337
O 0.742 0.742 0.742
O 0.339 0.499 0.999
O 0.051 0.289 0.843
O 0.258 0.242 0.758
H 0.819 0.374 0.777
H 0.061 0.526 0.705
H 0.937 0.021 0.209
H 0.126 0.223 0.319
H 0.374 0.777 0.819
H 0.181 0.874 0.723
H 0.492 0.769 0.780
H 0.021 0.291 0.437
H 0.374 0.723 0.319
H 0.209 0.937 0.021
H 0.720 0.508 0.269
H 0.563 0.979 0.709
H 0.795 0.939 0.026
H 0.319 0.374 0.723
H 0.026 0.705 0.439
H 0.291 0.437 0.021
H 0.791 0.437 0.479
H 0.181 0.626 0.223
H 0.319 0.126 0.223
H 0.220 0.992 0.731
H 0.526 0.705 0.061
H 0.008 0.231 0.280
H 0.709 0.563 0.979
H 0.295 0.939 0.474
H 0.439 0.026 0.705
H 0.280 0.492 0.731
H 0.231 0.280 0.008
H 0.026 0.795 0.939
H 0.769 0.780 0.492
H 0.705 0.061 0.526
H 0.205 0.439 0.474
H 0.474 0.205 0.439
H 0.291 0.063 0.521
H 0.474 0.295 0.939
H 0.626 0.277 0.681
H 0.731 0.280 0.492
H 0.063 0.979 0.791
H 0.508 0.231 0.220
H 0.063 0.521 0.291
H 0.777 0.819 0.374
H 0.209 0.563 0.521
H 0.974 0.295 0.561
H 0.709 0.937 0.479
H 0.937 0.479 0.709
H 0.437 0.479 0.791
H 0.974 0.205 0.061
H 0.723 0.319 0.374
H 0.277 0.819 0.126
H 0.061 0.974 0.205
H 0.295 0.561 0.974
H 0.819 0.126 0.277
H 0.437 0.021 0.291
H 0.979 0.709 0.563
H 0.939 0.026 0.795
H 0.508 0.269 0.720
H 0.795 0.561 0.526
H 0.280 0.008 0.231
H 0.681 0.626 0.277
H 0.992 0.769 0.720
H 0.269 0.720 0.508
H 0.479 0.791 0.437
H 0.269 0.780 0.008
H 0.777 0.681 0.874
H 0.769 0.720 0.992
H 0.220 0.508 0.231
H 0.561 0.526 0.795
H 0.277 0.681 0.626
H 0.780 0.008 0.269
H 0.439 0.474 0.205
H 0.723 0.181 0.874
H 0.705 0.439 0.026
H 0.780 0.492 0.769
H 0.223 0.319 0.126
H 0.731 0.220 0.992
H 0.992 0.731 0.220
H 0.939 0.474 0.295
H 0.561 0.974 0.295
H 0.874 0.723 0.181
H 0.021 0.209 0.937
H 0.521 0.209 0.563
H 0.231 0.220 0.508
H 0.205 0.061 0.974
H 0.874 0.777 0.681
H 0.223 0.181 0.626
H 0.126 0.277 0.819
H 0.008 0.269 0.780
H 0.791 0.063 0.979
H 0.521 0.291 0.063
H 0.492 0.731 0.280
H 0.563 0.521 0.209
H 0.681 0.874 0.777
H 0.979 0.791 0.063
H 0.479 0.709 0.937
H 0.626 0.223 0.181
H 0.526 0.795 0.561
H 0.720 0.992 0.769
Cs 0.500 0.000 0.000
Cs 0.000 0.000 0.500
Cs 0.500 0.500 0.500
Cs 0.000 0.500 0.000
V 0.000 0.000 0.000
V 0.000 0.500 0.500
V 0.500 0.500 0.000
V 0.500 0.000 0.500
S 0.173 0.827 0.327
S 0.327 0.327 0.327
S 0.673 0.827 0.173
S 0.827 0.173 0.673
S 0.327 0.173 0.827
S 0.673 0.673 0.673
S 0.827 0.327 0.173
S 0.173 0.673 0.827
CELL_PARAMETERS angstrom
-0.469 -3.659 -11.969
-4.500 -11.127 3.578
-11.679 4.434 -0.898
```

| no. | density (Mg/m³) |
| --- | --- |
| 1 | 2.5 |
| 2 | 2.8 |
| 3 | 2.0 |